(1)
Compound: Mn3NiSn2P6O24
Source: the Materials Project database
Functional: PBE+U
Structure: optimized geometry

Output
Energy relative to the elements = -2.3309 eV per atom
Theoretical density = 3719 kg/m3

Cell: 8.5709 8.5709 8.5709 Å, 61.50 61.50 61.50°
Last column: nearest neighbours and their distance in Å.
Element x y z (fractional)
Mn1 0.0000 0.0000 0.0000  6 O 1.99-2.19
Mn2 0.1997 0.1997 0.1997  6 O 2.00-2.23
Mn3 0.5011 0.5011 0.5011  6 O 1.99-2.21
Ni1 0.7028 0.7028 0.7028  6 O 1.98-2.15
Sn1 0.3499 0.3499 0.3499  6 O 2.12-2.14
Sn2 0.8494 0.8494 0.8494  6 O 2.13-2.15
P1 0.0998 0.7992 0.4020  4 O 1.51-1.59
P2 0.3036 0.6025 0.8988  4 O 1.49-1.60
P3 0.4020 0.0998 0.7992  4 O 1.51-1.59
P4 0.6025 0.8988 0.3036  4 O 1.49-1.60
P5 0.7992 0.4020 0.0998  4 O 1.51-1.59
P6 0.8988 0.3036 0.6025  4 O 1.49-1.60
O1 0.0311 0.8362 0.2503  1 P 1.52
O2 0.0981 0.7549 0.9177  1 P 1.60
O3 0.1024 0.2838 0.4484  1 P 1.60
O4 0.1741 0.9461 0.3647  1 P 1.51
O5 0.2503 0.0311 0.8362  1 P 1.52
O6 0.2537 0.5961 0.4196  1 P 1.59
O7 0.2838 0.4484 0.1024  1 P 1.60
O8 0.3350 0.5299 0.7517  1 P 1.52
O9 0.3647 0.1741 0.9461  1 P 1.51
O10 0.4196 0.2537 0.5961  1 P 1.59
O11 0.4484 0.1024 0.2838  1 P 1.60
O12 0.4517 0.6743 0.8588  1 P 1.49
O13 0.5299 0.7517 0.3350  1 P 1.52
O14 0.5961 0.4196 0.2537  1 P 1.59
O15 0.6036 0.9462 0.7810  1 P 1.58
O16 0.6743 0.8588 0.4517  1 P 1.49
O17 0.7517 0.3350 0.5299  1 P 1.52
O18 0.7549 0.9177 0.0981  1 P 1.60
O19 0.7810 0.6036 0.9462  1 P 1.58
O20 0.8362 0.2503 0.0311  1 P 1.52
O21 0.8588 0.4517 0.6743  1 P 1.49
O22 0.9177 0.0981 0.7549  1 P 1.60
O23 0.9461 0.3647 0.1741  1 P 1.51
O24 0.9462 0.7810 0.6036  1 P 1.58

---

(2)
Compound: Ti3MnNi2P6O24
Source: the Materials Project database
Functional: PBE+U
Structure: optimized geometry

Output
Energy relative to the elements = -2.7347 eV per atom
Theoretical density = 3283 kg/m3

Cell: 8.5151 8.5151 8.5151 Å, 61.17 61.17 61.17°
Last column: nearest neighbours and their distance in Å.
Element x y z (fractional)
Ti1 0.0000 0.0000 0.0000  6 O 1.90-2.07
Ti2 0.2110 0.2110 0.2110  6 O 1.87-2.02
Ti3 0.5028 0.5028 0.5028  6 O 1.88-2.10
Mn1 0.7124 0.7124 0.7124  6 O 2.05-2.22
Ni1 0.3553 0.3553 0.3553  6 O 2.16-2.20
Ni2 0.8545 0.8545 0.8545  6 O 2.12-2.15
P1 0.1118 0.8098 0.3995  4 O 1.52-1.56
P2 0.3063 0.6098 0.9069  4 O 1.49-1.57
P3 0.3995 0.1118 0.8098  4 O 1.52-1.56
P4 0.6098 0.9069 0.3063  4 O 1.49-1.57
P5 0.8098 0.3995 0.1118  4 O 1.52-1.56
P6 0.9069 0.3063 0.6098  4 O 1.49-1.57
O1 0.0425 0.8585 0.2369  1 P 1.56
O2 0.1023 0.2835 0.4458  1 P 1.57
O3 0.1067 0.7660 0.9164  1 P 1.57
O4 0.1943 0.9659 0.3358  1 P 1.55
O5 0.2369 0.0425 0.8585  1 P 1.56
O6 0.2720 0.6134 0.4077  1 P 1.56
O7 0.2835 0.4458 0.1023  1 P 1.57
O8 0.3358 0.1943 0.9659  1 P 1.55
O9 0.3601 0.5446 0.7381  1 P 1.57
O10 0.4077 0.2720 0.6134  1 P 1.56
O11 0.4458 0.1023 0.2835  1 P 1.57
O12 0.4533 0.6764 0.8793  1 P 1.49
O13 0.5446 0.7381 0.3601  1 P 1.57
O14 0.5928 0.9601 0.8080  1 P 1.52
O15 0.6134 0.4077 0.2720  1 P 1.56
O16 0.6764 0.8793 0.4533  1 P 1.49
O17 0.7381 0.3601 0.5446  1 P 1.57
O18 0.7660 0.9164 0.1067  1 P 1.57
O19 0.8080 0.5928 0.9601  1 P 1.52
O20 0.8585 0.2369 0.0425  1 P 1.56
O21 0.8793 0.4533 0.6764  1 P 1.49
O22 0.9164 0.1067 0.7660  1 P 1.57
O23 0.9601 0.8080 0.5928  1 P 1.52
O24 0.9659 0.3358 0.1943  1 P 1.55

---

(3)
Compound: TiMn3Ni2P6O24
Source: the Materials Project database
Functional: PBE+U
Structure: optimized geometry

Output
Energy relative to the elements = -2.4226 eV per atom
Theoretical density = 3456 kg/m3

Cell: 8.4094 8.4094 8.4094 Å, 61.26 61.26 61.26°
Last column: nearest neighbours and their distance in Å.
Element x y z (fractional)
Ti1 0.0000 0.0000 0.0000  6 O 1.89-2.02
Mn1 0.2865 0.2865 0.2865  6 O 1.91-2.02
Mn2 0.5017 0.5017 0.5017  6 O 1.92-2.04
Mn3 0.7857 0.7857 0.7857  6 O 1.93-2.01
Ni1 0.1438 0.1438 0.1438  6 O 2.12-2.15
Ni2 0.6445 0.6445 0.6445  6 O 2.12-2.13
P1 0.0999 0.3949 0.6870  4 O 1.53-1.57
P2 0.1876 0.8928 0.5958  4 O 1.52-1.56
P3 0.3949 0.6870 0.0999  4 O 1.53-1.57
P4 0.5958 0.1876 0.8928  4 O 1.52-1.56
P5 0.6870 0.0999 0.3949  4 O 1.53-1.57
P6 0.8928 0.5958 0.1876  4 O 1.52-1.56
O1 0.0302 0.8265 0.6321  1 P 1.52
O2 0.0546 0.3968 0.2048  1 P 1.56
O3 0.0814 0.2331 0.8880  1 P 1.57
O4 0.1357 0.3286 0.5289  1 P 1.53
O5 0.1369 0.9641 0.7578  1 P 1.54
O6 0.2048 0.0546 0.3968  1 P 1.56
O7 0.2331 0.8880 0.0814  1 P 1.57
O8 0.2588 0.4593 0.6520  1 P 1.53
O9 0.3286 0.5289 0.1357  1 P 1.53
O10 0.3876 0.7329 0.5896  1 P 1.56
O11 0.3968 0.2048 0.0546  1 P 1.56
O12 0.4593 0.6520 0.2588  1 P 1.53
O13 0.5289 0.1357 0.3286  1 P 1.53
O14 0.5545 0.7038 0.8982  1 P 1.57
O15 0.5896 0.3876 0.7329  1 P 1.56
O16 0.6321 0.0302 0.8265  1 P 1.52
O17 0.6520 0.2588 0.4593  1 P 1.53
O18 0.7038 0.8982 0.5545  1 P 1.57
O19 0.7329 0.5896 0.3876  1 P 1.56
O20 0.7578 0.1369 0.9641  1 P 1.54
O21 0.8265 0.6321 0.0302  1 P 1.52
O22 0.8880 0.0814 0.2331  1 P 1.57
O23 0.8982 0.5545 0.7038  1 P 1.57
O24 0.9641 0.7578 0.1369  1 P 1.54

---

(4)
Compound: Mn3VNi2P6O24
Source: the Materials Project database
Functional: PBE+U
Structure: optimized geometry

Output
Energy relative to the elements = -2.3410 eV per atom
Theoretical density = 3420 kg/m3

Cell: 8.4703 8.4703 8.4703 Å, 60.90 60.90 60.90°
Last column: nearest neighbours and their distance in Å.
Element x y z (fractional)
Mn1 0.0000 0.0000 0.0000  6 O 1.92-2.02
Mn2 0.2156 0.2156 0.2156  6 O 1.95-2.07
Mn3 0.4998 0.4998 0.4998  6 O 1.94-2.03
V1 0.7152 0.7152 0.7152  6 O 1.90-1.99
Ni1 0.3581 0.3581 0.3581  6 O 2.14-2.15
Ni2 0.8575 0.8575 0.8575  6 O 2.16-2.18
P1 0.1085 0.3995 0.8142  4 O 1.52-1.58
P2 0.3134 0.9007 0.6084  4 O 1.52-1.56
P3 0.3995 0.8142 0.1085  4 O 1.52-1.58
P4 0.6084 0.3134 0.9007  4 O 1.52-1.56
P5 0.8142 0.1085 0.3995  4 O 1.52-1.58
P6 0.9007 0.6084 0.3134  4 O 1.52-1.56
O1 0.0472 0.2403 0.8479  1 P 1.53
O2 0.0984 0.4481 0.3059  1 P 1.56
O3 0.1150 0.9150 0.7710  1 P 1.56
O4 0.1689 0.3696 0.9715  1 P 1.52
O5 0.2403 0.8479 0.0472  1 P 1.53
O6 0.2677 0.4163 0.6141  1 P 1.56
O7 0.3059 0.0984 0.4481  1 P 1.56
O8 0.3455 0.7425 0.5472  1 P 1.52
O9 0.3696 0.9715 0.1689  1 P 1.52
O10 0.4163 0.6141 0.2677  1 P 1.56
O11 0.4481 0.3059 0.0984  1 P 1.56
O12 0.4740 0.8559 0.6767  1 P 1.54
O13 0.5472 0.3455 0.7425  1 P 1.52
O14 0.5992 0.7965 0.9438  1 P 1.58
O15 0.6141 0.2677 0.4163  1 P 1.56
O16 0.6767 0.4740 0.8559  1 P 1.54
O17 0.7425 0.5472 0.3455  1 P 1.52
O18 0.7710 0.1150 0.9150  1 P 1.56
O19 0.7965 0.9438 0.5992  1 P 1.58
O20 0.8479 0.0472 0.2403  1 P 1.53
O21 0.8559 0.6767 0.4740  1 P 1.54
O22 0.9150 0.7710 0.1150  1 P 1.56
O23 0.9438 0.5992 0.7965  1 P 1.58
O24 0.9715 0.1689 0.3696  1 P 1.52

---

(5)
Compound: MnV3Ni2P6O24
Source: the Materials Project database
Functional: PBE+U
Structure: optimized geometry

Output
Energy relative to the elements = -2.4630 eV per atom
Theoretical density = 3342 kg/m3

Cell: 8.4795 8.4795 8.4795 Å, 61.40 61.40 61.40°
Last column: nearest neighbours and their distance in Å.
Element x y z (fractional)
Mn1 0.0000 0.0000 0.0000  6 O 2.02-2.16
V1 0.2854 0.2854 0.2854  6 O 1.91-2.03
V2 0.4996 0.4996 0.4996  6 O 1.89-2.00
V3 0.7865 0.7865 0.7865  6 O 1.91-2.04
Ni1 0.1421 0.1421 0.1421  6 O 2.14-2.15
Ni2 0.6421 0.6421 0.6421  6 O 2.18-2.19
P1 0.0999 0.6855 0.3962  4 O 1.53-1.57
P2 0.1895 0.5958 0.8955  4 O 1.49-1.58
P3 0.3962 0.0999 0.6855  4 O 1.53-1.57
P4 0.5958 0.8955 0.1895  4 O 1.49-1.58
P5 0.6855 0.3962 0.0999  4 O 1.53-1.57
P6 0.8955 0.1895 0.5958  4 O 1.49-1.58
O1 0.0245 0.6395 0.8319  1 P 1.56
O2 0.0537 0.2043 0.3954  1 P 1.57
O3 0.0936 0.8797 0.2425  1 P 1.53
O4 0.1412 0.5249 0.3289  1 P 1.55
O5 0.1619 0.7456 0.9600  1 P 1.49
O6 0.2043 0.3954 0.0537  1 P 1.57
O7 0.2425 0.0936 0.8797  1 P 1.53
O8 0.2546 0.6308 0.4768  1 P 1.54
O9 0.3289 0.1412 0.5249  1 P 1.55
O10 0.3874 0.5725 0.7325  1 P 1.58
O11 0.3954 0.0537 0.2043  1 P 1.57
O12 0.4768 0.2546 0.6308  1 P 1.54
O13 0.5249 0.3289 0.1412  1 P 1.55
O14 0.5580 0.9018 0.6970  1 P 1.57
O15 0.5725 0.7325 0.3874  1 P 1.58
O16 0.6308 0.4768 0.2546  1 P 1.54
O17 0.6395 0.8319 0.0245  1 P 1.56
O18 0.6970 0.5580 0.9018  1 P 1.57
O19 0.7325 0.3874 0.5725  1 P 1.58
O20 0.7456 0.9600 0.1619  1 P 1.49
O21 0.8319 0.0245 0.6395  1 P 1.56
O22 0.8797 0.2425 0.0936  1 P 1.53
O23 0.9018 0.6970 0.5580  1 P 1.57
O24 0.9600 0.1619 0.7456  1 P 1.49

---

(6)
Compound: Mn2VNi3P6O24
Source: the Materials Project database
Functional: PBE+U
Structure: optimized geometry

Output
Energy relative to the elements = -2.2378 eV per atom
Theoretical density = 3346 kg/m3

Cell: 8.5584 8.5584 8.5584 Å, 60.67 60.67 60.67°
Last column: nearest neighbours and their distance in Å.
Element x y z (fractional)
Mn1 0.0000 0.0000 0.0000  6 O 2.15-2.17
Mn2 0.4986 0.4986 0.4986  6 O 2.20-2.27
V1 0.6458 0.6458 0.6458  6 O 1.83-1.99
Ni1 0.1433 0.1433 0.1433  6 O 2.01-2.15
Ni2 0.3571 0.3571 0.3571  6 O 1.97-2.07
Ni3 0.8581 0.8581 0.8581  6 O 1.97-2.06
P1 0.0446 0.4570 0.7525  4 O 1.51-1.59
P2 0.2516 0.9579 0.5456  4 O 1.51-1.60
P3 0.4570 0.7525 0.0446  4 O 1.51-1.59
P4 0.5456 0.2516 0.9579  4 O 1.51-1.60
P5 0.7525 0.0447 0.4570  4 O 1.51-1.59
P6 0.9579 0.5456 0.2516  4 O 1.51-1.60
O1 0.0076 0.6084 0.8206  1 P 1.51
O2 0.0445 0.2625 0.9086  1 P 1.54
O3 0.0935 0.9381 0.7447  1 P 1.56
O4 0.1122 0.5145 0.3130  1 P 1.51
O5 0.1966 0.9824 0.3903  1 P 1.51
O6 0.2364 0.4436 0.5900  1 P 1.54
O7 0.2625 0.9086 0.0445  1 P 1.54
O8 0.3130 0.1122 0.5145  1 P 1.51
O9 0.3903 0.1966 0.9824  1 P 1.51
O10 0.4176 0.7569 0.5705  1 P 1.60
O11 0.4436 0.5900 0.2364  1 P 1.54
O12 0.5145 0.3130 0.1122  1 P 1.51
O13 0.5152 0.6810 0.8770  1 P 1.59
O14 0.5705 0.4176 0.7569  1 P 1.60
O15 0.5900 0.2364 0.4436  1 P 1.54
O16 0.6084 0.8206 0.0076  1 P 1.51
O17 0.6810 0.8770 0.5152  1 P 1.59
O18 0.7447 0.0935 0.9381  1 P 1.56
O19 0.7569 0.5705 0.4176  1 P 1.60
O20 0.8206 0.0076 0.6084  1 P 1.51
O21 0.8770 0.5152 0.6810  1 P 1.59
O22 0.9086 0.0445 0.2625  1 P 1.54
O23 0.9381 0.7447 0.0935  1 P 1.56
O24 0.9824 0.3903 0.1966  1 P 1.51